VASP calculation (PBE) on an optimized crystal structure of Ba3Y2Cl12.

Unit cell a=12.021 b=12.880 c=19.333 alpha=90.00 beta=122.41 gamma=90.00
Element x y z (fractional)
1 Ba 0.038 0.154 0.398
2 Ba 0.038 0.346 0.898
3 Ba 0.282 0.131 0.147
4 Ba 0.282 0.369 0.647
5 Ba 0.429 0.705 0.977
6 Ba 0.429 0.795 0.477
7 Ba 0.571 0.205 0.523
8 Ba 0.571 0.295 0.023
9 Ba 0.718 0.631 0.353
10 Ba 0.718 0.869 0.853
11 Ba 0.962 0.654 0.102
12 Ba 0.962 0.846 0.602
13 Y 0.113 0.031 0.858
14 Y 0.113 0.469 0.358
15 Y 0.370 0.018 0.636
16 Y 0.370 0.482 0.136
17 Y 0.630 0.518 0.864
18 Y 0.630 0.982 0.364
19 Y 0.887 0.531 0.642
20 Y 0.887 0.969 0.142
21 Cl 0.023 0.691 0.734
22 Cl 0.023 0.809 0.234
23 Cl 0.052 0.115 0.965
24 Cl 0.052 0.385 0.465
25 Cl 0.110 0.073 0.212
26 Cl 0.110 0.427 0.712
27 Cl 0.159 0.523 0.246
28 Cl 0.159 0.977 0.746
29 Cl 0.170 0.147 0.593
30 Cl 0.170 0.353 0.093
31 Cl 0.190 0.627 0.070
32 Cl 0.190 0.873 0.570
33 Cl 0.240 0.628 0.457
34 Cl 0.240 0.872 0.957
35 Cl 0.325 0.035 0.480
36 Cl 0.325 0.465 0.980
37 Cl 0.329 0.153 0.950
38 Cl 0.329 0.347 0.450
39 Cl 0.456 0.126 0.345
40 Cl 0.456 0.374 0.845
41 Cl 0.485 0.014 0.794
42 Cl 0.485 0.486 0.294
43 Cl 0.495 0.697 0.841
44 Cl 0.495 0.803 0.341
45 Cl 0.505 0.197 0.659
46 Cl 0.505 0.303 0.159
47 Cl 0.515 0.514 0.706
48 Cl 0.515 0.986 0.206
49 Cl 0.544 0.626 0.155
50 Cl 0.544 0.874 0.655
51 Cl 0.671 0.653 0.550
52 Cl 0.671 0.847 0.050
53 Cl 0.675 0.535 0.020
54 Cl 0.675 0.965 0.520
55 Cl 0.760 0.128 0.043
56 Cl 0.760 0.372 0.543
57 Cl 0.810 0.127 0.430
58 Cl 0.810 0.373 0.930
59 Cl 0.830 0.647 0.907
60 Cl 0.830 0.853 0.407
61 Cl 0.841 0.023 0.254
62 Cl 0.841 0.477 0.754
63 Cl 0.890 0.573 0.288
64 Cl 0.890 0.927 0.788
65 Cl 0.948 0.615 0.535
66 Cl 0.948 0.885 0.035
67 Cl 0.977 0.191 0.766
68 Cl 0.977 0.309 0.266

E above lowest polymorph	10	meV/atom
E	-4.7662	eV per atom
M_tot	0.000	μB per formula unit
formation energy from the elements	-2.7954	eV/atom
mass density	2.668	g/cm3